Computed, not measured: a relaxed HgPt3 crystal at the PBE level of DFT.

a b c (Å): 4.0726 4.0726 4.0726
angles (deg): 90.00 90.00 90.00
Space group Pm-3m (No. 221)
Asymmetric unit:
Hg: 0.0000 0.0000 0.0000 (multiplicity 1)
Pt: 0.0000 0.5000 0.5000 (multiplicity 3)

* formation energy from the elements: 0.29 eV per formula unit
* total energy: -0.3348 Ry per atom

***

Computed, not measured: a relaxed Hg3Pt crystal at the PBE level of DFT.

a b c (Å): 4.3442 4.3442 4.3442
angles (deg): 90.00 90.00 90.00
Space group Pm-3m (No. 221)
Asymmetric unit:
Hg: 0.0000 0.0000 0.5000 (multiplicity 3)
Pt: 0.5000 0.5000 0.5000 (multiplicity 1)

* relative energy among the computed polymorphs: 29 meV/atom
* formation energy from the elements: 0.83 eV per formula unit
* total energy: -0.1130 Ry per atom

***

Computed, not measured: a relaxed HgPt3 crystal at the PBE level of DFT.

a b c (Å): 4.1369 4.1492 7.9056
angles (deg): 90.00 90.00 90.00
Space group Cmmm (No. 65)
Asymmetric unit:
Hg: 0.0000 0.0000 0.0000 (multiplicity 2)
Pt: 0.0000 0.0000 0.5000 (multiplicity 2)
Pt: 0.0000 0.5000 0.2636 (multiplicity 4)

* formation energy from the elements: 0.29 eV per formula unit
* total energy: -0.3349 Ry per atom

***

- The highest total energy belongs to which entry?
  Hg3Pt